Entry 1:
The following is a PBE+U calculation of crystalline YCoO3 at its relaxed geometry, from the Materials Project database.

Results
- E_form (kJ/mol of formula units) = -1206
- E_tot (eV per atom) = -7.44
- corrected total energy (MP2020 scheme) (eV per atom) = -8.183
- space group = P6_3/mmc

Structure (POSCAR):
```
YCoO3
1.0
-0.8756 -1.3086 3.2717
0.4351 -2.2650 -2.8043
10.8886 -1.0138 2.5085
O Co Y
6 2 2
Direct
0.3333 0.6667 0.0841
0.0000 0.0000 0.2500
0.0000 0.0000 0.7500
0.3333 0.6667 0.4159
0.6667 0.3333 0.9159
0.6667 0.3333 0.5841
0.6667 0.3333 0.7500
0.3333 0.6667 0.2500
0.0000 0.0000 0.5000
0.0000 0.0000 0.0000
```


Entry 2:
The following is a PBE+U calculation of crystalline Li3Fe2Si2O8 at its relaxed geometry, from the Materials Project database.

Results
- largest piezoelectric modulus (C/m2) = 1.080
- E_form (kJ/mol of formula units) = -3593
- E_tot (eV per atom) = -6.69
- corrected total energy (MP2020 scheme) (eV per atom) = -7.356
- space group = P1
- energy above the most stable polymorph in this dataset (meV/atom) = 40

Structure (POSCAR):
```
Li3Fe2Si2O8
1.0
-4.8217 0.4607 1.3676
1.1195 -2.3174 4.6510
1.3953 6.0746 2.5200
O Fe Si Li
8 2 2 3
Direct
0.0962 0.6203 0.2527
0.6090 0.7978 0.5389
0.6021 0.8333 0.9500
0.1247 0.1798 0.0511
0.1112 0.1754 0.4487
0.5581 0.3801 0.7654
0.6713 0.3082 0.2286
0.1660 0.7296 0.7445
0.0135 0.7975 0.0021
0.4963 0.1839 0.9887
0.4840 0.6811 0.7374
0.0048 0.3209 0.2591
0.9945 0.8436 0.5093
0.4909 0.1600 0.5087
0.4939 0.6495 0.2895
```


Entry 3:
The following is a PBE+U calculation of crystalline Li3Fe8B8O24 at its relaxed geometry, from the Materials Project database.

Results
- E_form (kJ/mol of formula units) = -9346
- E_tot (eV per atom) = -7.16
- corrected total energy (MP2020 scheme) (eV per atom) = -7.966
- space group = P1
- energy above the most stable polymorph in this dataset (meV/atom) = 3

Structure (POSCAR):
```
Li3Fe8B8O24
1.0
-5.2891 0.0000 0.0000
-0.0293 -9.0542 0.0000
2.5626 4.4595 10.2315
B O Fe Li
8 24 8 3
Direct
0.6540 0.6475 0.6322
0.1499 0.1406 0.6185
0.8875 0.2251 0.1183
0.4122 0.7306 0.1253
0.5910 0.2666 0.8705
0.1082 0.7673 0.8720
0.8636 0.8561 0.3735
0.3420 0.3537 0.3670
0.2443 0.9083 0.8939
0.7508 0.0851 0.0967
0.3050 0.8794 0.1701
0.9641 0.9622 0.3298
0.1529 0.4055 0.4353
0.0635 0.2840 0.6310
0.2111 0.6195 0.8245
0.4245 0.2022 0.3375
0.6028 0.7170 0.0577
0.9864 0.7262 0.3757
0.6965 0.3946 0.8594
0.3637 0.0873 0.5626
0.0319 0.0390 0.6606
0.5296 0.5480 0.6737
0.7850 0.3719 0.1673
0.1296 0.2205 0.0859
0.3901 0.2776 0.9327
0.3322 0.6088 0.1546
0.8649 0.7717 0.9021
0.5697 0.7965 0.6476
0.4430 0.4594 0.3224
0.6842 0.1135 0.8180
0.8622 0.5954 0.5784
0.6261 0.8879 0.4154
0.8484 0.5233 0.3752
0.3409 0.0215 0.3685
0.4102 0.3920 0.1227
0.1499 0.4779 0.6224
0.0893 0.1013 0.8708
0.9015 0.8949 0.1189
0.5962 0.5955 0.8693
0.6615 0.9820 0.6212
0.5801 0.9204 0.8494
0.3194 0.6731 0.3389
0.3948 0.0527 0.1110
```


Entry 4:
The following is a PBE+U calculation of crystalline Sr2CoO4 at its relaxed geometry, from the Materials Project database.

Results
- E_form (kJ/mol of formula units) = -1581
- E_tot (eV per atom) = -6.04
- corrected total energy (MP2020 scheme) (eV per atom) = -6.667
- space group = C2/m
- energy above the most stable polymorph in this dataset (meV/atom) = 11

Structure (POSCAR):
```
Sr2CoO4
1.0
-3.2927 -0.1552 -2.1208
-1.5346 -2.5353 2.5677
0.1016 6.0459 3.0299
O Sr Co
4 2 1
Direct
0.1564 0.1564 0.3110
0.0000 0.5000 0.0000
0.5000 0.0000 0.0000
0.8436 0.8436 0.6890
0.6391 0.6390 0.2785
0.3609 0.3610 0.7215
0.0000 0.0000 0.0000
```


Please write out number 3 again, unchanged.
The following is a PBE+U calculation of crystalline Li3Fe8B8O24 at its relaxed geometry, from the Materials Project database.

Results
- E_form (kJ/mol of formula units) = -9346
- E_tot (eV per atom) = -7.16
- corrected total energy (MP2020 scheme) (eV per atom) = -7.966
- space group = P1
- energy above the most stable polymorph in this dataset (meV/atom) = 3

Structure (POSCAR):
```
Li3Fe8B8O24
1.0
-5.2891 0.0000 0.0000
-0.0293 -9.0542 0.0000
2.5626 4.4595 10.2315
B O Fe Li
8 24 8 3
Direct
0.6540 0.6475 0.6322
0.1499 0.1406 0.6185
0.8875 0.2251 0.1183
0.4122 0.7306 0.1253
0.5910 0.2666 0.8705
0.1082 0.7673 0.8720
0.8636 0.8561 0.3735
0.3420 0.3537 0.3670
0.2443 0.9083 0.8939
0.7508 0.0851 0.0967
0.3050 0.8794 0.1701
0.9641 0.9622 0.3298
0.1529 0.4055 0.4353
0.0635 0.2840 0.6310
0.2111 0.6195 0.8245
0.4245 0.2022 0.3375
0.6028 0.7170 0.0577
0.9864 0.7262 0.3757
0.6965 0.3946 0.8594
0.3637 0.0873 0.5626
0.0319 0.0390 0.6606
0.5296 0.5480 0.6737
0.7850 0.3719 0.1673
0.1296 0.2205 0.0859
0.3901 0.2776 0.9327
0.3322 0.6088 0.1546
0.8649 0.7717 0.9021
0.5697 0.7965 0.6476
0.4430 0.4594 0.3224
0.6842 0.1135 0.8180
0.8622 0.5954 0.5784
0.6261 0.8879 0.4154
0.8484 0.5233 0.3752
0.3409 0.0215 0.3685
0.4102 0.3920 0.1227
0.1499 0.4779 0.6224
0.0893 0.1013 0.8708
0.9015 0.8949 0.1189
0.5962 0.5955 0.8693
0.6615 0.9820 0.6212
0.5801 0.9204 0.8494
0.3194 0.6731 0.3389
0.3948 0.0527 0.1110
```